1.
An optimized crystal structure of CaBi2P2O10. Source: the Materials Project, functional PBE-GGA.

Unit cell a=10.4966 b=9.1583 c=7.6709 alpha=76.61 beta=58.08 gamma=45.31
Element x y z (fractional)
Ca: 0.5042 0.9958 0.9958
Ca: 0.2542 0.7458 0.7458
Bi: 0.8771 0.3809 0.3840
Bi: 0.3580 0.3840 0.3809
Bi: 0.8691 0.3729 0.8920
Bi: 0.8660 0.8920 0.3729
P: 0.0461 0.5571 0.9535
P: 0.6929 0.2039 0.8067
P: 0.4433 0.9535 0.5571
P: 0.2965 0.8067 0.2039
O: 0.5527 0.7281 0.4824
O: 0.6606 0.1929 0.3225
O: 0.3012 0.6891 0.3874
O: 0.7676 0.0132 0.6973
O: 0.2221 0.0533 0.7497
O: 0.4312 0.0726 0.3751
O: 0.0571 0.5894 0.4260
O: 0.8240 0.3225 0.1929
O: 0.9275 0.4260 0.5894
O: 0.1967 0.0279 0.2750
O: 0.2368 0.4824 0.7281
O: 0.5003 0.2750 0.0279
O: 0.9750 0.7497 0.0533
O: 0.1774 0.8188 0.1288
O: 0.1212 0.3751 0.0726
O: 0.8749 0.1288 0.8188
O: 0.8626 0.6277 0.9488
O: 0.6223 0.3874 0.6891
O: 0.5219 0.6973 0.0132
O: 0.5609 0.9488 0.6277

Calculated values
Crystal system = orthorhombic
Total energy = -6.55 eV per atom
Formation energy from the elements = -2.34 eV per atom
M_tot = 0.0 μB/cell

---

2.
An optimized crystal structure of CaBi6P4O20. Source: the Materials Project, functional PBE-GGA.

Unit cell a=6.9886 b=7.7034 c=9.3190 alpha=107.08 beta=93.52 gamma=112.48
Element x y z (fractional)
Ca: 0.0000 0.5000 0.0000
Bi: 0.8092 0.8035 0.3226
Bi: 0.3360 0.6317 0.5134
Bi: 0.4332 0.2904 0.0847
Bi: 0.5668 0.7096 0.9153
Bi: 0.6640 0.3683 0.4866
Bi: 0.1908 0.1965 0.6774
P: 0.3408 0.8894 0.2518
P: 0.6592 0.1106 0.7482
P: 0.9487 0.2337 0.2389
P: 0.0513 0.7663 0.7611
O: 0.4480 0.4723 0.6375
O: 0.1487 0.9991 0.8325
O: 0.3459 0.8121 0.0793
O: 0.2251 0.6855 0.7596
O: 0.5173 0.8753 0.3520
O: 0.8909 0.6714 0.8543
O: 0.4827 0.1247 0.6480
O: 0.0537 0.2976 0.4102
O: 0.6353 0.8912 0.6941
O: 0.8513 0.0009 0.1675
O: 0.7749 0.3145 0.2404
O: 0.9463 0.7024 0.5898
O: 0.5520 0.5277 0.3625
O: 0.8794 0.2522 0.7299
O: 0.3176 0.4089 0.9047
O: 0.6541 0.1879 0.9207
O: 0.6824 0.5911 0.0953
O: 0.1091 0.3286 0.1457
O: 0.3647 0.1088 0.3059
O: 0.1206 0.7478 0.2701

Calculated values
Crystal system = triclinic
Total energy = -6.67 eV per atom
Formation energy from the elements = -2.40 eV per atom
M_tot = 0.0 μB/cell

---

3.
An optimized crystal structure of CaTiBiP3O12. Source: the Materials Project, functional PBE-GGA.

Unit cell a=9.0850 b=9.0850 c=9.0850 alpha=59.88 beta=59.88 gamma=59.88
Element x y z (fractional)
Ca: 0.9977 0.9977 0.9977
Ca: 0.4977 0.4977 0.4977
Ti: 0.1523 0.1523 0.1523
Ti: 0.6523 0.6523 0.6523
Bi: 0.3482 0.3482 0.3482
Bi: 0.8482 0.8482 0.8482
P: 0.0410 0.4396 0.7686
P: 0.4396 0.7686 0.0410
P: 0.7686 0.0410 0.4396
P: 0.2686 0.9396 0.5410
P: 0.5410 0.2686 0.9396
P: 0.9396 0.5410 0.2686
O: 0.0740 0.5203 0.3353
O: 0.3353 0.0740 0.5203
O: 0.0469 0.2574 0.9271
O: 0.5203 0.3353 0.0740
O: 0.0203 0.5740 0.8353
O: 0.2206 0.4238 0.6097
O: 0.2574 0.9271 0.0469
O: 0.4238 0.6097 0.2206
O: 0.2120 0.0061 0.3693
O: 0.6097 0.2206 0.4238
O: 0.1097 0.9238 0.7206
O: 0.3693 0.2120 0.0061
O: 0.5740 0.8353 0.0203
O: 0.9271 0.0469 0.2574
O: 0.4271 0.7574 0.5469
O: 0.8353 0.0203 0.5740
O: 0.5469 0.4271 0.7574
O: 0.7206 0.1097 0.9238
O: 0.7574 0.5469 0.4271
O: 0.0061 0.3693 0.2120
O: 0.5061 0.7120 0.8693
O: 0.9238 0.7206 0.1097
O: 0.7120 0.8693 0.5061
O: 0.8693 0.5061 0.7120

Calculated values
Crystal system = trigonal
Total energy = -7.32 eV per atom
Formation energy from the elements = -2.81 eV per atom
M_tot = 0.0 μB/cell

---

4.
An optimized crystal structure of CaPrBi2O6. Source: the Materials Project, functional PBE-GGA.

Unit cell a=5.8981 b=6.1887 c=8.6535 alpha=90.00 beta=90.00 gamma=90.00
Element x y z (fractional)
Ca: 0.4868 0.2006 0.0000
Ca: 0.9868 0.7994 0.5000
Pr: 0.0247 0.6849 0.0000
Pr: 0.5247 0.3151 0.5000
Bi: 0.0022 0.2451 0.7508
Bi: 0.0022 0.2451 0.2492
Bi: 0.5022 0.7549 0.2508
Bi: 0.5022 0.7549 0.7492
O: 0.1454 0.1810 0.5000
O: 0.1838 0.9367 0.8233
O: 0.1838 0.9367 0.1767
O: 0.3052 0.4483 0.1734
O: 0.3052 0.4483 0.8266
O: 0.3612 0.6812 0.5000
O: 0.6454 0.8190 0.0000
O: 0.6838 0.0633 0.6767
O: 0.6838 0.0633 0.3233
O: 0.8052 0.5517 0.6734
O: 0.8052 0.5517 0.3266
O: 0.8612 0.3188 0.0000

Calculated values
Crystal system = orthorhombic
Total energy = -6.44 eV per atom
Formation energy from the elements = -2.43 eV per atom
M_tot = 0.0 μB/cell

---

5.
An optimized crystal structure of CaBiSbO5. Source: the Materials Project, functional PBE-GGA.

Unit cell a=5.6671 b=11.6057 c=16.3700 alpha=90.00 beta=90.00 gamma=90.00
Element x y z (fractional)
Ca: 0.4994 0.3598 0.5528
Ca: 0.9994 0.1402 0.5528
Ca: 0.9994 0.6402 0.9472
Ca: 0.0006 0.3598 0.0528
Ca: 0.5006 0.1402 0.0528
Ca: 0.0006 0.8598 0.4472
Ca: 0.5006 0.6402 0.4472
Ca: 0.4994 0.8598 0.9472
Bi: 0.9503 0.8424 0.7729
Bi: 0.0497 0.1576 0.2271
Bi: 0.5497 0.3424 0.2271
Bi: 0.0497 0.6576 0.2729
Bi: 0.4503 0.1576 0.7271
Bi: 0.4503 0.6576 0.7729
Bi: 0.5497 0.8424 0.2729
Bi: 0.9503 0.3424 0.7271
Sb: 0.9847 0.4009 0.4041
Sb: 0.5153 0.9009 0.5959
Sb: 0.0153 0.5991 0.5959
Sb: 0.4847 0.0991 0.4041
Sb: 0.0153 0.0991 0.9041
Sb: 0.9847 0.9009 0.0959
Sb: 0.5153 0.4009 0.9041
Sb: 0.4847 0.5991 0.0959
O: 0.9302 0.3255 0.3007
O: 0.3114 0.0435 0.9398
O: 0.1886 0.5435 0.0602
O: 0.2405 0.7680 0.8472
O: 0.2595 0.2680 0.1528
O: 0.9302 0.8255 0.1993
O: 0.2595 0.7680 0.3472
O: 0.5698 0.8255 0.6993
O: 0.3114 0.5435 0.5602
O: 0.0698 0.6745 0.6993
O: 0.5698 0.3255 0.8007
O: 0.6487 0.1932 0.4793
O: 0.8114 0.9565 0.5602
O: 0.7595 0.7320 0.3472
O: 0.1767 0.0308 0.1270
O: 0.8114 0.4565 0.9398
O: 0.0698 0.1745 0.8007
O: 0.7405 0.2320 0.6528
O: 0.1487 0.8068 0.0207
O: 0.1886 0.0435 0.4398
O: 0.3513 0.8068 0.5207
O: 0.8233 0.9692 0.8730
O: 0.7595 0.2320 0.1528
O: 0.6767 0.9692 0.3730
O: 0.3513 0.3068 0.9793
O: 0.1487 0.3068 0.4793
O: 0.6886 0.4565 0.4398
O: 0.6886 0.9565 0.0602
O: 0.6767 0.4692 0.1270
O: 0.8513 0.6932 0.5207
O: 0.8513 0.1932 0.9793
O: 0.6487 0.6932 0.0207
O: 0.8233 0.4692 0.6270
O: 0.7405 0.7320 0.8472
O: 0.2405 0.2680 0.6528
O: 0.1767 0.5308 0.3730
O: 0.3233 0.5308 0.8730
O: 0.4302 0.1745 0.3007
O: 0.3233 0.0308 0.6270
O: 0.4302 0.6745 0.1993

Calculated values
Crystal system = orthorhombic
Polymorph energy (0 for the lowest one) = 0 meV per atom
Total energy = -6.13 eV per atom
Formation energy from the elements = -2.21 eV per atom
M_tot = 0.0 μB/cell

---

6.
An optimized crystal structure of CaBiSbO5. Source: the Materials Project, functional PBE-GGA.

Unit cell a=12.2018 b=5.9431 c=8.5751 alpha=70.40 beta=90.00 gamma=90.00
Element x y z (fractional)
Ca: 0.0859 0.5506 0.8166
Ca: 0.9141 0.4494 0.1834
Ca: 0.5859 0.4494 0.6834
Ca: 0.4141 0.5506 0.3166
Bi: 0.9074 0.0332 0.8425
Bi: 0.0926 0.9668 0.1575
Bi: 0.5926 0.0332 0.3425
Bi: 0.4074 0.9668 0.6575
Sb: 0.3559 0.1621 0.0318
Sb: 0.6441 0.8379 0.9682
Sb: 0.8559 0.8379 0.4682
Sb: 0.1441 0.1621 0.5318
O: 0.9313 0.7827 0.6730
O: 0.0553 0.2704 0.6761
O: 0.8108 0.1602 0.3678
O: 0.4761 0.7731 0.4869
O: 0.7124 0.6979 0.5022
O: 0.7876 0.6979 0.0022
O: 0.4447 0.2704 0.1761
O: 0.5553 0.7296 0.8239
O: 0.5239 0.2269 0.5131
O: 0.4313 0.2173 0.8270
O: 0.2876 0.3021 0.4978
O: 0.0687 0.2173 0.3270
O: 0.5687 0.7827 0.1730
O: 0.2124 0.3021 0.9978
O: 0.9761 0.2269 0.0131
O: 0.0239 0.7731 0.9869
O: 0.1892 0.8398 0.6322
O: 0.9447 0.7296 0.3239
O: 0.3108 0.8398 0.1322
O: 0.6892 0.1602 0.8678

Calculated values
Crystal system = monoclinic
Polymorph energy (0 for the lowest one) = 23 meV per atom
Total energy = -6.10 eV per atom
Formation energy from the elements = -2.19 eV per atom
M_tot = 0.0 μB/cell

---

7.
An optimized crystal structure of Ca3Si3Bi2O12. Source: the Materials Project, functional PBE-GGA.

Unit cell a=11.1200 b=11.1200 c=11.1200 alpha=109.47 beta=109.47 gamma=109.47
Element x y z (fractional)
Ca: 0.2500 0.3750 0.1250
Ca: 0.7500 0.1250 0.3750
Ca: 0.3750 0.1250 0.2500
Ca: 0.1250 0.3750 0.7500
Ca: 0.2500 0.8750 0.6250
Ca: 0.1250 0.2500 0.3750
Ca: 0.6250 0.2500 0.8750
Ca: 0.7500 0.6250 0.8750
Ca: 0.8750 0.7500 0.6250
Ca: 0.8750 0.6250 0.2500
Ca: 0.6250 0.8750 0.7500
Ca: 0.3750 0.7500 0.1250
Si: 0.1250 0.7500 0.8750
Si: 0.8750 0.2500 0.1250
Si: 0.7500 0.3750 0.6250
Si: 0.1250 0.8750 0.2500
Si: 0.2500 0.1250 0.8750
Si: 0.3750 0.6250 0.7500
Si: 0.3750 0.2500 0.6250
Si: 0.8750 0.1250 0.7500
Si: 0.6250 0.3750 0.2500
Si: 0.7500 0.8750 0.1250
Si: 0.2500 0.6250 0.3750
Si: 0.6250 0.7500 0.3750
Bi: 0.5000 0.0000 0.0000
Bi: 0.5000 0.5000 0.0000
Bi: 0.0000 0.5000 0.5000
Bi: 0.0000 0.0000 0.5000
Bi: 0.5000 0.5000 0.5000
Bi: 0.0000 0.5000 0.0000
Bi: 0.5000 0.0000 0.5000
Bi: 0.0000 0.0000 0.0000
O: 0.6001 0.8895 0.3734
O: 0.3734 0.6001 0.8895
O: 0.2732 0.2893 0.8999
O: 0.4839 0.6105 0.2107
O: 0.2893 0.8895 0.0161
O: 0.1266 0.0161 0.2268
O: 0.3734 0.2732 0.4839
O: 0.8895 0.3734 0.6001
O: 0.2107 0.2268 0.6001
O: 0.4839 0.3734 0.2732
O: 0.8895 0.0161 0.2893
O: 0.6105 0.8999 0.1266
O: 0.8999 0.1266 0.6105
O: 0.2732 0.4839 0.3734
O: 0.6001 0.2107 0.2268
O: 0.2268 0.6001 0.2107
O: 0.0161 0.2893 0.8895
O: 0.8999 0.2732 0.2893
O: 0.0161 0.2268 0.1266
O: 0.7893 0.7732 0.3999
O: 0.2107 0.4839 0.6105
O: 0.6105 0.2107 0.4839
O: 0.2268 0.1266 0.0161
O: 0.1266 0.6105 0.8999
O: 0.3999 0.1105 0.6266
O: 0.6266 0.3999 0.1105
O: 0.7268 0.7107 0.1001
O: 0.5161 0.3895 0.7893
O: 0.7107 0.1105 0.9839
O: 0.8734 0.9839 0.7732
O: 0.6266 0.7268 0.5161
O: 0.1105 0.6266 0.3999
O: 0.8734 0.3895 0.1001
O: 0.7732 0.8734 0.9839
O: 0.3895 0.7893 0.5161
O: 0.7107 0.1001 0.7268
O: 0.7893 0.5161 0.3895
O: 0.9839 0.7732 0.8734
O: 0.1001 0.7268 0.7107
O: 0.9839 0.7107 0.1105
O: 0.7732 0.3999 0.7893
O: 0.3999 0.7893 0.7732
O: 0.7268 0.5161 0.6266
O: 0.1001 0.8734 0.3895
O: 0.3895 0.1001 0.8734
O: 0.1105 0.9839 0.7107
O: 0.5161 0.6266 0.7268
O: 0.2893 0.8999 0.2732

Calculated values
Crystal system = cubic
Total energy = -6.99 eV per atom
Formation energy from the elements = -2.93 eV per atom
M_tot = 0.0 μB/cell

---

8.
An optimized crystal structure of Ca2TaBiO6. Source: the Materials Project, functional PBE-GGA.

Unit cell a=8.1310 b=5.7729 c=5.9853 alpha=88.95 beta=90.00 gamma=90.00
Element x y z (fractional)
Ca: 0.7500 0.9884 0.0545
Ca: 0.7500 0.5063 0.5561
Ca: 0.2500 0.4937 0.4439
Ca: 0.2500 0.0116 0.9455
Ta: 0.0000 0.0000 0.5000
Ta: 0.5000 0.0000 0.5000
Bi: 0.0000 0.5000 0.0000
Bi: 0.5000 0.5000 0.0000
O: 0.4399 0.1596 0.2151
O: 0.5598 0.7139 0.3356
O: 0.5601 0.8404 0.7849
O: 0.0598 0.2861 0.6644
O: 0.2500 0.8949 0.5462
O: 0.4402 0.2861 0.6644
O: 0.9402 0.7139 0.3356
O: 0.0601 0.1596 0.2151
O: 0.7500 0.3548 0.9250
O: 0.9399 0.8404 0.7849
O: 0.2500 0.6452 0.0750
O: 0.7500 0.1051 0.4538

Calculated values
Crystal system = monoclinic
Total energy = -7.47 eV per atom
Formation energy from the elements = -2.94 eV per atom
M_tot = 0.0 μB/cell